[1]
Material: CoO4
Method: DFT, PBE+U
State: relaxed

The value obtained for the size of the total moment is 1.00 μB per formula unit. Its space-group type is P2_1/m. The formation energy from the elements is -4.8 kJ per mole of atoms. The total energy comes out at -4.5522 eV/atom. For the mass density, the calculation gives 2.1 g/cm3.

a b c (Å): 6.4767 5.5002 5.5161
angles (deg): 89.41 90.00 90.00
Closest atoms and distances in Å follow each position.
Fractional coordinates of all 10 atoms:
O 0.7500 0.3210 0.6279  1 Co 1.63
O 0.2500 0.6790 0.3721  1 Co 1.63
O 0.7500 0.6034 0.2435  1 Co 1.60
O 0.9554 0.1917 0.2379  1 Co 1.61
O 0.2500 0.3966 0.7565  1 Co 1.60
Co 0.2500 0.6754 0.6680  4 O 1.60-1.63
O 0.5446 0.1917 0.2379  1 Co 1.61
Co 0.7500 0.3246 0.3320  4 O 1.60-1.63
O 0.0446 0.8083 0.7621  1 Co 1.61
O 0.4554 0.8083 0.7621  1 Co 1.61



[2]
Material: Co2C2O7
Method: DFT, PBE+U
State: relaxed

The value obtained for the size of the total moment is 8.00 μB per formula unit. Its space-group type is P321. The formation energy from the elements is -137.6 kJ per mole of atoms. The total energy comes out at -6.8099 eV/atom. For the mass density, the calculation gives 2.4 g/cm3. For the relative energy among the computed polymorphs, the calculation gives 13 meV/atom.

a b c (Å): 8.5203 8.5203 8.2488
angles (deg): 90.00 90.00 120.00
Closest atoms and distances in Å follow each position.
Fractional coordinates of all 33 atoms:
C 0.6610 0.9979 0.2662  3 O 1.27-1.30
O 0.9047 0.4897 0.7400  1 C 1.27
O 0.9336 0.7636 0.7800  1 C 1.30
C 0.9979 0.6610 0.7338  3 O 1.27-1.30
Co 0.0000 0.0000 0.2844  4 O 1.78-1.88
O 0.2619 0.4241 0.6759  1 C 1.30
C 0.0021 0.6631 0.2662  3 O 1.27-1.30
O 0.5103 0.4151 0.7400  1 C 1.27
Co 0.0000 0.0000 0.7156  4 O 1.78-1.88
C 0.3369 0.3390 0.2662  3 O 1.27-1.30
O 0.5759 0.8378 0.6759  1 C 1.30
O 0.3333 0.6667 0.9592  2 Co 1.78-1.80
O 0.0664 0.8300 0.2200  1 C 1.30
Co 0.3333 0.6667 0.7410  4 O 1.80-1.92
O 0.4897 0.9047 0.2600  1 C 1.27
Co 0.3333 0.6667 0.1755  4 O 1.78-1.92
O 0.1700 0.2364 0.2200  1 C 1.30
C 0.3390 0.3369 0.7338  3 O 1.27-1.30
O 0.4241 0.2619 0.3241  1 C 1.30
O 0.0000 0.0000 0.5000  2 Co 1.78
O 0.8378 0.5759 0.3241  1 C 1.30
O 0.5849 0.0953 0.7400  1 C 1.27
O 0.7636 0.9336 0.2200  1 C 1.30
Co 0.6667 0.3333 0.2590  4 O 1.80-1.92
O 0.6667 0.3333 0.0408  2 Co 1.78-1.80
Co 0.6667 0.3333 0.8245  4 O 1.78-1.92
O 0.8300 0.0664 0.7800  1 C 1.30
C 0.6631 0.0021 0.7338  3 O 1.27-1.30
O 0.0953 0.5849 0.2600  1 C 1.27
O 0.2364 0.1700 0.7800  1 C 1.30
O 0.7381 0.1622 0.3241  1 C 1.30
O 0.1622 0.7381 0.6759  1 C 1.30
O 0.4151 0.5103 0.2600  1 C 1.27



[3]
Material: NaCr2O4
Method: DFT, PBE+U
State: relaxed

The value obtained for the size of the total moment is 5.00 μB per formula unit. Its space-group type is Pnma. The formation energy from the elements is -210.7 kJ per mole of atoms. The total energy comes out at -6.9940 eV/atom. For the mass density, the calculation gives 4.4 g/cm3. For the relative energy among the computed polymorphs, the calculation gives 0 meV/atom.

a b c (Å): 2.9735 9.0649 10.6180
angles (deg): 90.00 90.00 90.00
Closest atoms and distances in Å follow each position.
Fractional coordinates of all 28 atoms:
O 0.7500 0.0213 0.7155  3 Cr 1.97-1.98
Cr 0.7500 0.9359 0.8873  6 O 1.97-2.00
O 0.2500 0.9787 0.2845  3 Cr 1.97-1.98
O 0.7500 0.6128 0.0176  3 Cr 1.98-2.00
O 0.7500 0.5213 0.7845  3 Cr 1.97-1.98
Na 0.2500 0.7432 0.1528  8 O 2.37-2.60
O 0.2500 0.2941 0.6487  3 Cr 1.99-2.00
O 0.7500 0.9245 0.0725  3 Cr 1.97-2.00
Na 0.2500 0.2432 0.3472  8 O 2.37-2.60
O 0.2500 0.3872 0.9824  3 Cr 1.98-2.00
Cr 0.7500 0.9194 0.3951  6 O 1.97-2.00
O 0.2500 0.0755 0.9275  3 Cr 1.97-2.00
Cr 0.2500 0.5641 0.3873  6 O 1.97-2.00
Na 0.7500 0.2568 0.8472  8 O 2.37-2.60
Cr 0.7500 0.4359 0.6127  6 O 1.97-2.00
O 0.2500 0.7941 0.8513  3 Cr 1.99-2.00
O 0.2500 0.4787 0.2155  3 Cr 1.97-1.98
Cr 0.2500 0.5806 0.8951  6 O 1.97-2.00
Cr 0.2500 0.0806 0.6049  6 O 1.97-2.00
O 0.7500 0.2059 0.1487  3 Cr 1.99-2.00
Cr 0.7500 0.4194 0.1049  6 O 1.97-2.00
Cr 0.2500 0.0641 0.1127  6 O 1.97-2.00
Na 0.7500 0.7568 0.6528  8 O 2.37-2.60
O 0.2500 0.5755 0.5725  3 Cr 1.97-2.00
O 0.2500 0.8872 0.5176  3 Cr 1.98-2.00
O 0.7500 0.4245 0.4275  3 Cr 1.97-2.00
O 0.7500 0.7059 0.3513  3 Cr 1.99-2.00
O 0.7500 0.1128 0.4824  3 Cr 1.98-2.00



[4]
Material: Sr4LaMn5O13
Method: DFT, PBE+U
State: relaxed

The value obtained for the size of the total moment is 20.00 μB per formula unit. Its space-group type is P2/m. The formation energy from the elements is -253.0 kJ per mole of atoms. The total energy comes out at -7.1678 eV/atom. For the mass density, the calculation gives 5.3 g/cm3. For the relative energy among the computed polymorphs, the calculation gives 43 meV/atom.

a b c (Å): 3.8733 8.8432 8.9010
angles (deg): 90.60 90.00 90.00
Closest atoms and distances in Å follow each position.
Fractional coordinates of all 23 atoms:
O 0.5000 0.5870 0.1647  2 Mn 1.96
Mn 0.0000 0.6063 0.1969  5 O 1.96-2.04
O 0.0000 0.5959 0.7139  2 Mn 1.96-2.06
O 0.0000 0.0833 0.1985  2 Mn 1.91-2.02
O 0.0000 0.9166 0.8013  2 Mn 1.91-2.02
O 0.5000 0.2088 0.4001  2 Mn 1.94
O 0.0000 0.7964 0.0788  2 Mn 1.94-1.99
O 0.5000 0.7912 0.5999  2 Mn 1.94
La 0.5001 0.5000 0.5000  10 O 2.66-2.84
Mn 0.0000 0.1996 0.3949  6 O 1.94-2.06
Sr 0.5000 0.2983 0.1150  9 O 2.59-2.82
Mn 0.0000 0.8004 0.6051  6 O 1.94-2.06
Mn 0.0000 0.3937 0.8031  5 O 1.96-2.04
O 0.5000 0.4129 0.8354  2 Mn 1.96
O 0.0000 0.6853 0.4134  2 Mn 1.98-2.04
O 0.0000 0.4041 0.2861  2 Mn 1.96-2.06
Sr 0.5000 0.1007 0.6787  8 O 2.65-2.84
Sr 0.5000 0.8993 0.3213  8 O 2.65-2.84
Sr 0.5000 0.7016 0.8850  9 O 2.59-2.82
O 0.0000 0.0000 0.5000  2 Mn 2.01
O 0.0000 0.2036 0.9212  2 Mn 1.94-1.99
Mn 0.9997 0.0000 0.0000  4 O 1.91-1.94
O 0.0000 0.3147 0.5866  2 Mn 1.98-2.04



[5]
Material: K2Rb4Fe2O5
Method: DFT, PBE+U
State: relaxed

The value obtained for the size of the total moment is 0.00 μB per formula unit. The formation energy from the elements is -140.7 kJ per mole of atoms. The total energy comes out at -4.5260 eV/atom. For the mass density, the calculation gives 3.5 g/cm3.

a b c (Å): 6.9776 6.9972 12.0351
angles (deg): 90.00 90.00 90.10
Closest atoms and distances in Å follow each position.
Fractional coordinates of all 26 atoms:
Rb 0.3162 0.6644 0.0000  5 O 3.06-3.23, 1 Fe 3.37
O 0.7123 0.7037 0.1369  1 Fe 1.90
Rb 0.3163 0.1644 0.5000  5 O 3.06-3.23, 1 Fe 3.37
O 0.2877 0.2963 0.8631  1 Fe 1.90
O 0.7123 0.2037 0.6369  1 Fe 1.90
K 0.5000 0.0000 0.7771  4 O 2.66-2.75
Rb 0.0000 0.5000 0.2583  5 O 2.86-3.15
Fe 0.1952 0.1980 0.0000  3 O 1.90-1.94
K 0.5000 0.5000 0.7229  4 O 2.66-2.75
Rb 0.6837 0.3356 0.0000  5 O 3.06-3.23, 1 Fe 3.37
Fe 0.8048 0.3020 0.5000  3 O 1.90-1.94
Rb 0.0000 0.0000 0.7583  5 O 2.86-3.15
O 0.7123 0.7037 0.8631  1 Fe 1.90
Rb 0.0000 0.5000 0.7417  5 O 2.86-3.15
Rb 0.6838 0.8356 0.5000  5 O 3.06-3.23, 1 Fe 3.37
O 0.7123 0.2037 0.3631  1 Fe 1.90
Fe 0.8048 0.8020 0.0000  3 O 1.90-1.94
K 0.5000 0.0000 0.2229  4 O 2.66-2.75
O 0.0000 0.0000 0.0000  2 Fe 1.94
O 0.0000 0.5000 0.5000  2 Fe 1.94
Fe 0.1952 0.6980 0.5000  3 O 1.90-1.94
O 0.2877 0.2963 0.1369  1 Fe 1.90
K 0.5000 0.5000 0.2771  4 O 2.66-2.75
O 0.2877 0.7963 0.6369  1 Fe 1.90
O 0.2877 0.7963 0.3631  1 Fe 1.90
Rb 0.0000 0.0000 0.2417  5 O 2.86-3.15